VASP calculation (meta-GGA r2SCAN) on a geometry-optimized CaEuTl2 structure.

## Properties
- Formation energy from the elements: -52.2 kJ per mole of atoms
- Space group: No. 225

Cell lengths 5.539, 5.539, 5.539 Å; angles 60.00, 60.00, 60.00 degrees
Sites, in units of the cell vectors:
Ca 0.000 0.000 0.000
Eu 0.500 0.500 0.500
Tl 0.250 0.250 0.250
Tl 0.750 0.750 0.750

---

VASP calculation (meta-GGA r2SCAN) on a geometry-optimized CaEuZn2 structure.

## Properties
- Formation energy from the elements: -23.2 kJ per mole of atoms
- Space group: No. 225

Cell lengths 5.226, 5.226, 5.226 Å; angles 60.00, 60.00, 60.00 degrees
Sites, in units of the cell vectors:
Ca 0.000 0.000 0.000
Eu 0.500 0.500 0.500
Zn 0.250 0.250 0.250
Zn 0.750 0.750 0.750

---

VASP calculation (meta-GGA r2SCAN) on a geometry-optimized CaFeF5 structure.

## Properties
- Formation energy from the elements: -315.2 kJ per mole of atoms
- Space group: No. 14
- Distance to the lowest polymorph of the same formula: 0 meV/atom

Cell lengths 5.483, 10.120, 7.589 Å; angles 90.00, 109.76, 90.00 degrees
Sites, in units of the cell vectors:
Ca 0.031 0.020 0.255
Ca 0.031 0.480 0.755
Ca 0.969 0.520 0.245
Ca 0.969 0.980 0.745
Fe 0.392 0.246 0.599
Fe 0.392 0.254 0.099
Fe 0.608 0.746 0.901
Fe 0.608 0.754 0.401
F 0.102 0.120 0.555
F 0.102 0.380 0.055
F 0.140 0.113 0.002
F 0.140 0.387 0.502
F 0.330 0.639 0.366
F 0.330 0.861 0.866
F 0.346 0.199 0.337
F 0.346 0.301 0.837
F 0.388 0.602 0.807
F 0.388 0.898 0.307
F 0.612 0.102 0.693
F 0.612 0.398 0.193
F 0.654 0.699 0.163
F 0.654 0.801 0.663
F 0.670 0.139 0.134
F 0.670 0.361 0.634
F 0.860 0.613 0.498
F 0.860 0.887 0.998
F 0.898 0.620 0.945
F 0.898 0.880 0.445

---

VASP calculation (meta-GGA r2SCAN) on a geometry-optimized CaFeF5 structure.

## Properties
- Formation energy from the elements: -314.9 kJ per mole of atoms
- Space group: No. 15
- Distance to the lowest polymorph of the same formula: 3 meV/atom

Cell lengths 5.565, 5.565, 7.637 Å; angles 110.29, 110.29, 71.32 degrees
Sites, in units of the cell vectors:
Ca 0.046 0.954 0.750
Ca 0.954 0.046 0.250
Fe 0.500 0.500 0.000
Fe 0.500 0.500 0.500
F 0.193 0.785 0.031
F 0.215 0.807 0.469
F 0.251 0.290 0.381
F 0.290 0.251 0.881
F 0.418 0.582 0.750
F 0.582 0.418 0.250
F 0.710 0.749 0.119
F 0.749 0.710 0.619
F 0.785 0.193 0.531
F 0.807 0.215 0.969

---

VASP calculation (meta-GGA r2SCAN) on a geometry-optimized CaFe2F10 structure.

## Properties
- Formation energy from the elements: -253.7 kJ per mole of atoms
- Space group: No. 7

Cell lengths 5.256, 9.953, 7.515 Å; angles 90.00, 111.28, 90.00 degrees
Sites, in units of the cell vectors:
Ca 0.000 0.236 0.000
Ca 0.000 0.764 0.500
Fe 0.352 0.010 0.355
Fe 0.352 0.990 0.855
Fe 0.567 0.496 0.616
Fe 0.567 0.504 0.116
F 0.065 0.122 0.297
F 0.065 0.878 0.797
F 0.124 0.125 0.754
F 0.124 0.875 0.254
F 0.274 0.407 0.582
F 0.274 0.593 0.082
F 0.337 0.066 0.096
F 0.337 0.934 0.596
F 0.372 0.354 0.010
F 0.372 0.646 0.510
F 0.567 0.139 0.468
F 0.567 0.437 0.367
F 0.567 0.563 0.867
F 0.567 0.861 0.968
F 0.638 0.097 0.881
F 0.638 0.903 0.381
F 0.776 0.357 0.737
F 0.776 0.643 0.237
F 0.868 0.407 0.151
F 0.868 0.593 0.651

---

VASP calculation (meta-GGA r2SCAN) on a geometry-optimized KLi3Ca7Ti2Si12O36F2 structure.

## Properties
- Formation energy from the elements: -309.1 kJ per mole of atoms
- Space group: No. 15

Cell lengths 9.776, 9.776, 20.876 Å; angles 109.41, 109.41, 59.82 degrees
Sites, in units of the cell vectors:
K 0.071 0.929 0.750
K 0.929 0.071 0.250
Li 0.071 0.436 0.751
Li 0.416 0.584 0.250
Li 0.436 0.071 0.251
Li 0.564 0.929 0.749
Li 0.584 0.416 0.750
Li 0.929 0.564 0.249
Ca 0.000 0.000 0.000
Ca 0.000 0.000 0.500
Ca 0.139 0.571 0.493
Ca 0.147 0.293 0.013
Ca 0.290 0.565 0.000
Ca 0.293 0.147 0.513
Ca 0.429 0.861 0.007
Ca 0.435 0.710 0.500
Ca 0.565 0.290 0.500
Ca 0.571 0.139 0.993
Ca 0.707 0.853 0.487
Ca 0.710 0.435 0.000
Ca 0.853 0.707 0.987
Ca 0.861 0.429 0.507
Ti 0.264 0.405 0.252
Ti 0.405 0.264 0.752
Ti 0.595 0.736 0.248
Ti 0.736 0.595 0.748
Si 0.005 0.733 0.860
Si 0.107 0.754 0.360
Si 0.121 0.651 0.140
Si 0.141 0.511 0.641
Si 0.231 0.246 0.362
Si 0.246 0.231 0.862
Si 0.246 0.893 0.140
Si 0.267 0.995 0.640
Si 0.349 0.879 0.360
Si 0.372 0.611 0.860
Si 0.389 0.628 0.640
Si 0.489 0.859 0.859
Si 0.511 0.141 0.141
Si 0.611 0.372 0.360
Si 0.628 0.389 0.140
Si 0.651 0.121 0.640
Si 0.733 0.005 0.360
Si 0.754 0.107 0.860
Si 0.754 0.769 0.138
Si 0.769 0.754 0.638
Si 0.859 0.489 0.359
Si 0.879 0.349 0.860
Si 0.893 0.246 0.640
Si 0.995 0.267 0.140
O 0.031 0.727 0.939
O 0.036 0.350 0.344
O 0.060 0.256 0.845
O 0.073 0.380 0.196
O 0.078 0.101 0.647
O 0.101 0.078 0.147
O 0.112 0.592 0.306
O 0.116 0.564 0.059
O 0.124 0.418 0.561
O 0.171 0.735 0.440
O 0.176 0.678 0.840
O 0.176 0.795 0.160
O 0.205 0.824 0.340
O 0.211 0.398 0.696
O 0.244 0.531 0.192
O 0.248 0.606 0.655
O 0.256 0.060 0.345
O 0.261 0.311 0.811
O 0.265 0.829 0.060
O 0.273 0.969 0.561
O 0.300 0.302 0.943
O 0.302 0.300 0.443
O 0.311 0.261 0.311
O 0.322 0.824 0.660
O 0.350 0.036 0.844
O 0.380 0.073 0.696
O 0.394 0.752 0.845
O 0.398 0.211 0.196
O 0.399 0.559 0.558
O 0.408 0.888 0.194
O 0.418 0.124 0.061
O 0.436 0.884 0.441
O 0.441 0.601 0.942
O 0.444 0.454 0.309
O 0.454 0.444 0.809
O 0.469 0.756 0.308
O 0.531 0.244 0.692
O 0.546 0.556 0.191
O 0.556 0.546 0.691
O 0.559 0.399 0.058
O 0.564 0.116 0.559
O 0.582 0.876 0.939
O 0.592 0.112 0.806
O 0.601 0.441 0.442
O 0.602 0.789 0.804
O 0.606 0.248 0.155
O 0.620 0.927 0.304
O 0.650 0.964 0.156
O 0.678 0.176 0.340
O 0.689 0.739 0.689
O 0.698 0.700 0.557
O 0.700 0.698 0.057
O 0.727 0.031 0.439
O 0.735 0.171 0.940
O 0.739 0.689 0.189
O 0.744 0.940 0.655
O 0.752 0.394 0.345
O 0.756 0.469 0.808
O 0.789 0.602 0.304
O 0.795 0.176 0.660
O 0.824 0.205 0.840
O 0.824 0.322 0.160
O 0.829 0.265 0.560
O 0.876 0.582 0.439
O 0.884 0.436 0.941
O 0.888 0.408 0.694
O 0.899 0.922 0.853
O 0.922 0.899 0.353
O 0.927 0.620 0.804
O 0.940 0.744 0.155
O 0.964 0.650 0.656
O 0.969 0.273 0.061
F 0.035 0.172 0.462
F 0.172 0.035 0.962
F 0.828 0.965 0.038
F 0.965 0.828 0.538

---

VASP calculation (meta-GGA r2SCAN) on a geometry-optimized CaNiF6 structure.

## Properties
- Formation energy from the elements: -255.2 kJ per mole of atoms
- Space group: No. 148

Cell lengths 5.494, 5.494, 5.494 Å; angles 54.24, 54.24, 54.24 degrees
Sites, in units of the cell vectors:
Ca 0.000 0.000 0.000
Ni 0.500 0.500 0.500
F 0.126 0.702 0.450
F 0.298 0.550 0.874
F 0.450 0.126 0.702
F 0.550 0.874 0.298
F 0.702 0.450 0.126
F 0.874 0.298 0.550

---

VASP calculation (meta-GGA r2SCAN) on a geometry-optimized Ca5V3O12F structure.

## Properties
- Formation energy from the elements: -307.4 kJ per mole of atoms
- Space group: No. 2

Cell lengths 7.022, 9.623, 9.682 Å; angles 60.24, 88.46, 89.52 degrees
Sites, in units of the cell vectors:
Ca 0.001 0.313 0.347
Ca 0.238 0.753 0.243
Ca 0.250 0.004 0.756
Ca 0.262 0.231 0.004
Ca 0.497 0.356 0.305
Ca 0.503 0.644 0.695
Ca 0.738 0.769 0.996
Ca 0.750 0.996 0.244
Ca 0.762 0.247 0.757
Ca 0.999 0.687 0.653
V 0.228 0.629 0.973
V 0.259 0.974 0.395
V 0.262 0.391 0.633
V 0.738 0.609 0.367
V 0.741 0.026 0.605
V 0.772 0.371 0.027
O 0.048 0.905 0.368
O 0.051 0.769 0.900
O 0.086 0.291 0.770
O 0.219 0.518 0.178
O 0.224 0.595 0.529
O 0.225 0.520 0.875
O 0.255 0.178 0.309
O 0.279 0.307 0.513
O 0.289 0.871 0.599
O 0.427 0.925 0.296
O 0.436 0.735 0.915
O 0.460 0.359 0.745
O 0.540 0.641 0.255
O 0.564 0.265 0.085
O 0.573 0.075 0.704
O 0.711 0.129 0.401
O 0.721 0.693 0.487
O 0.745 0.822 0.691
O 0.775 0.480 0.125
O 0.776 0.405 0.471
O 0.781 0.482 0.822
O 0.914 0.709 0.230
O 0.949 0.231 0.100
O 0.952 0.095 0.632
F 0.253 0.990 0.002
F 0.747 0.010 0.998

---

VASP calculation (meta-GGA r2SCAN) on a geometry-optimized CaPbF6 structure.

## Properties
- Formation energy from the elements: -276.2 kJ per mole of atoms
- Space group: No. 225

Cell lengths 6.105, 6.105, 6.105 Å; angles 60.00, 60.00, 60.00 degrees
Sites, in units of the cell vectors:
Ca 0.000 0.000 0.000
Pb 0.500 0.500 0.500
F 0.260 0.260 0.740
F 0.260 0.740 0.260
F 0.260 0.740 0.740
F 0.740 0.260 0.260
F 0.740 0.260 0.740
F 0.740 0.740 0.260

---

VASP calculation (meta-GGA r2SCAN) on a geometry-optimized CaPdF4 structure.

## Properties
- Formation energy from the elements: -270.1 kJ per mole of atoms
- Space group: No. 140

Cell lengths 6.556, 6.556, 6.556 Å; angles 129.98, 129.98, 73.44 degrees
Sites, in units of the cell vectors:
Ca 0.250 0.250 0.000
Ca 0.750 0.750 0.000
Pd 0.000 0.500 0.500
Pd 0.500 0.000 0.500
F 0.040 0.540 0.852
F 0.187 0.040 0.500
F 0.313 0.813 0.852
F 0.460 0.313 0.500
F 0.540 0.687 0.500
F 0.687 0.187 0.148
F 0.813 0.960 0.500
F 0.960 0.460 0.148

---

VASP calculation (meta-GGA r2SCAN) on a geometry-optimized CaPtF6 structure.

## Properties
- Formation energy from the elements: -245.0 kJ per mole of atoms
- Space group: No. 148

Cell lengths 5.802, 5.802, 5.802 Å; angles 53.16, 53.16, 53.16 degrees
Sites, in units of the cell vectors:
Ca 0.000 0.000 0.000
Pt 0.500 0.500 0.500
F 0.117 0.429 0.722
F 0.278 0.883 0.571
F 0.429 0.722 0.117
F 0.571 0.278 0.883
F 0.722 0.117 0.429
F 0.883 0.571 0.278

---

VASP calculation (meta-GGA r2SCAN) on a geometry-optimized RbCaF3 structure.

## Properties
- Formation energy from the elements: -356.7 kJ per mole of atoms
- Space group: No. 221

Cell lengths 4.454, 4.454, 4.454 Å; angles 90.00, 90.00, 90.00 degrees
Sites, in units of the cell vectors:
Rb 0.000 0.000 0.000
Ca 0.500 0.500 0.500
F 0.000 0.500 0.500
F 0.500 0.000 0.500
F 0.500 0.500 0.000

---

VASP calculation (meta-GGA r2SCAN) on a geometry-optimized Ca10Si6F structure.

## Properties
- Formation energy from the elements: -84.5 kJ per mole of atoms
- Space group: No. 121

Cell lengths 9.121, 9.121, 9.121 Å; angles 130.49, 130.49, 72.62 degrees
Sites, in units of the cell vectors:
Ca 0.070 0.710 0.000
Ca 0.231 0.231 0.664
Ca 0.250 0.750 0.500
Ca 0.290 0.290 0.360
Ca 0.433 0.769 0.000
Ca 0.567 0.567 0.336
Ca 0.710 0.070 0.000
Ca 0.750 0.250 0.500
Ca 0.769 0.433 0.000
Ca 0.930 0.930 0.640
Si 0.000 0.500 0.500
Si 0.136 0.359 0.000
Si 0.359 0.136 0.000
Si 0.500 0.000 0.500
Si 0.641 0.641 0.777
Si 0.864 0.864 0.223
F 0.500 0.500 0.000

---

VASP calculation (meta-GGA r2SCAN) on a geometry-optimized CaSnF6 structure.

## Properties
- Formation energy from the elements: -316.5 kJ per mole of atoms
- Space group: No. 148

Cell lengths 5.920, 5.920, 5.920 Å; angles 58.64, 58.64, 58.64 degrees
Sites, in units of the cell vectors:
Ca 0.000 0.000 0.000
Sn 0.500 0.500 0.500
F 0.195 0.732 0.339
F 0.268 0.661 0.805
F 0.339 0.195 0.732
F 0.661 0.805 0.268
F 0.732 0.339 0.195
F 0.805 0.268 0.661

---

VASP calculation (meta-GGA r2SCAN) on a geometry-optimized CaSnF6 structure.

## Properties
- Formation energy from the elements: -316.4 kJ per mole of atoms
- Space group: No. 225

Cell lengths 5.966, 5.966, 5.966 Å; angles 60.00, 60.00, 60.00 degrees
Sites, in units of the cell vectors:
Ca 0.000 0.000 0.000
Sn 0.500 0.500 0.500
F 0.266 0.266 0.734
F 0.266 0.734 0.266
F 0.266 0.734 0.734
F 0.734 0.266 0.266
F 0.734 0.266 0.734
F 0.734 0.734 0.266